Record 1
PBE PmInNi2, optimized geometry; energy of formation from the pure elements = -1.15 eV per formula unit; calculated density = 8.8 g/cm³; SG = Fm-3m (225); electronic total energy = -5.052 eV/atom; volume = 71.15 Å³ per cell
1.0
-2.129 -3.978 1.128
-0.633 -1.112 4.472
-4.272 0.089 1.836
Pm In Ni
1 1 2
Direct
0.500 0.500 0.500
0.000 0.000 0.000
0.250 0.250 0.250
0.750 0.750 0.750

---

Record 2
PBE PrInNi, optimized geometry; energy of formation from the pure elements = -0.95 eV per formula unit; calculated density = 7.5 g/cm³; SG = Amm2 (38); electronic total energy = -4.755 eV/atom; volume = 209.70 Å³ per cell
1.0
-6.472 -1.736 4.176
7.110 -0.703 3.362
-0.207 3.669 1.205
Ni Pr In
3 3 3
Direct
0.332 0.665 0.000
0.998 0.998 0.000
0.665 0.332 0.000
0.001 0.662 0.500
0.662 0.001 0.500
0.340 0.340 0.500
0.000 0.329 0.000
0.671 0.671 0.000
0.329 0.000 0.000